Entry from the Materials Project database: a geometry-optimized TmH3O3 structure (GGA-PBE).

Values from the calculation:
ΔE to the lowest computed polymorph (eV per atom): 0.025
Formation energy (eV/atom): -2.231

a b c (Å): 5.321 10.238 6.208
angles (deg): 90.00 95.75 90.00
Space group P2_1/c (No. 14)
One atom of each set of equivalent atoms:
Tm1 0.009 0.170 0.460 [4 per cell]
H1 0.241 0.025 0.806 [4 per cell]
H2 0.311 0.612 0.731 [4 per cell]
H3 0.412 0.193 0.187 [4 per cell]
O1 0.208 0.007 0.652 [4 per cell]
O2 0.223 0.693 0.755 [4 per cell]
O3 0.229 0.181 0.170 [4 per cell]

Entry from the Materials Project database: a geometry-optimized KLu structure (GGA-PBE).

Values from the calculation:
Formation energy (eV/atom): 0.570

a b c (Å): 3.5921 3.5921 7.1036
angles (deg): 90.00 90.00 120.00
Space group P-6m2 (No. 187)
One atom of each set of equivalent atoms:
K1 0.0000 0.0000 0.0000 [1 per cell]
Lu1 0.6667 0.3333 0.5000 [1 per cell]

Entry from the Materials Project database: a geometry-optimized NaZnP3H8O10 structure (GGA-PBE).

Values from the calculation:
Formation energy (eV/atom): -1.743

a b c (Å): 9.347 14.845 14.984
angles (deg): 90.00 90.00 90.00
Space group Pbca (No. 61)
One atom of each set of equivalent atoms:
Na1 0.074 0.164 0.073 [8 per cell]
Zn1 0.052 0.662 0.048 [8 per cell]
P1 0.034 0.532 0.238 [8 per cell]
P2 0.222 0.032 0.517 [8 per cell]
P3 0.240 0.225 0.883 [8 per cell]
H1 0.026 0.077 0.638 [8 per cell]
H2 0.095 0.532 0.614 [8 per cell]
H3 0.152 0.164 0.304 [8 per cell]
H4 0.185 0.536 0.238 [8 per cell]
H5 0.187 0.693 0.610 [8 per cell]
H6 0.206 0.735 0.189 [8 per cell]
H7 0.236 0.140 0.842 [8 per cell]
H8 0.239 0.548 0.427 [8 per cell]
O1 0.003 0.566 0.797 [8 per cell]
O2 0.020 0.039 0.166 [8 per cell]
O3 0.021 0.106 0.325 [8 per cell]
O4 0.084 0.084 0.535 [8 per cell]
O5 0.104 0.238 0.937 [8 per cell]
O6 0.119 0.735 0.932 [8 per cell]
O7 0.151 0.577 0.573 [8 per cell]
O8 0.206 0.742 0.123 [8 per cell]
O9 0.220 0.569 0.035 [8 per cell]
O10 0.239 0.207 0.300 [8 per cell]

| no. | total DFT energy (no corrections) (eV/atom) |
| --- | --- |
| 1 | -6.15 |
| 2 | -2.25 |
| 3 | -5.59 |